No. 1
Computed, not measured: Nb12Ga3Ge after structural relaxation at the PBE level of DFT.

a = 5.188 Å, b = 5.192 Å, c = 10.368 Å
α = 90.00°, β = 90.00°, γ = 90.00°
Atoms (fractional coordinates):
1 Ge 0.000 0.000 0.500
2 Nb 0.751 0.500 0.500
3 Nb 0.500 0.000 0.375
4 Nb 0.500 0.000 0.876
5 Nb 0.000 0.250 0.750
6 Nb 0.000 0.750 0.250
7 Nb 0.500 0.000 0.124
8 Nb 0.000 0.750 0.750
9 Nb 0.500 0.000 0.625
10 Nb 0.249 0.500 0.000
11 Nb 0.249 0.500 0.500
12 Nb 0.000 0.250 0.250
13 Nb 0.751 0.500 0.000
14 Ga 0.000 0.000 0.000
15 Ga 0.500 0.500 0.750
16 Ga 0.500 0.500 0.250

Summary:
**Space group**: No. 47
**ΔH_f (0 K)**: -193 meV/atom
**Calculated volume**: 279.3 Å³/cell

=====

No. 2
Computed, not measured: GaNi6Ge after structural relaxation at the PBE level of DFT.

a = 3.570 Å, b = 3.570 Å, c = 7.142 Å
α = 90.00°, β = 90.00°, γ = 90.00°
Atoms (fractional coordinates):
1 Ni 0.500 0.000 0.749
2 Ni 0.500 0.000 0.251
3 Ni 0.500 0.500 0.500
4 Ni 0.500 0.500 0.000
5 Ni 0.000 0.500 0.251
6 Ni 0.000 0.500 0.749
7 Ga 0.000 0.000 0.000
8 Ge 0.000 0.000 0.500

Summary:
**Space group**: No. 123
**ΔH_f (0 K)**: -290 meV/atom
**Calculated volume**: 91.0 Å³/cell

=====

No. 3
Computed, not measured: GaNi4Ge3 after structural relaxation at the PBE level of DFT.

a = 6.120 Å, b = 6.120 Å, c = 4.890 Å
α = 80.00°, β = 80.00°, γ = 36.36°
Atoms (fractional coordinates):
1 Ga 0.429 0.429 0.287
2 Ni 0.002 0.002 0.999
3 Ni 0.203 0.203 0.670
4 Ni 0.795 0.795 0.332
5 Ni 0.001 0.001 0.501
6 Ge 0.186 0.186 0.178
7 Ge 0.815 0.815 0.822
8 Ge 0.569 0.569 0.713

Summary:
**Space group**: No. 8
**Energy above the lowest structure with this stoichiometry**: 0.048 eV/f.u.
**ΔH_f (0 K)**: -303 meV/atom
**Calculated volume**: 106.8 Å³/cell

=====

No. 4
Computed, not measured: GaNi4Ge3 after structural relaxation at the PBE level of DFT.

a = 3.818 Å, b = 4.964 Å, c = 11.503 Å
α = 90.00°, β = 90.00°, γ = 90.00°
Atoms (fractional coordinates):
1 Ni 0.500 0.879 0.004
2 Ni 0.000 0.362 0.299
3 Ni 0.000 0.620 0.505
4 Ni 0.000 0.862 0.701
5 Ni 0.500 0.379 0.996
6 Ni 0.000 0.120 0.495
7 Ni 0.500 0.141 0.796
8 Ni 0.500 0.641 0.204
9 Ge 0.000 0.357 0.687
10 Ge 0.000 0.111 0.928
11 Ge 0.000 0.857 0.313
12 Ge 0.500 0.887 0.573
13 Ge 0.000 0.611 0.072
14 Ge 0.500 0.387 0.427
15 Ga 0.500 0.642 0.814
16 Ga 0.500 0.142 0.186

Summary:
**Space group**: No. 26
**Energy above the lowest structure with this stoichiometry**: 0.000 eV/f.u.
**ΔH_f (0 K)**: -309 meV/atom
**Calculated volume**: 218.0 Å³/cell

=====

No. 5
Computed, not measured: Ga3Ni5Ge2 after structural relaxation at the PBE level of DFT.

a = 6.374 Å, b = 6.374 Å, c = 11.155 Å
α = 90.00°, β = 90.00°, γ = 144.33°
Atoms (fractional coordinates):
1 Ni 0.659 0.341 0.368
2 Ni 0.979 0.021 0.632
3 Ni 0.021 0.979 0.368
4 Ni 0.659 0.341 0.132
5 Ni 0.341 0.659 0.868
6 Ni 0.021 0.979 0.132
7 Ni 0.160 0.840 0.750
8 Ni 0.979 0.021 0.868
9 Ni 0.341 0.659 0.632
10 Ni 0.840 0.160 0.250
11 Ge 0.537 0.463 0.750
12 Ge 0.463 0.537 0.250
13 Ge 0.789 0.211 0.750
14 Ge 0.211 0.789 0.250
15 Ga 0.169 0.831 0.523
16 Ga 0.500 0.500 0.500
17 Ga 0.500 0.500 0.000
18 Ga 0.831 0.169 0.023
19 Ga 0.831 0.169 0.477
20 Ga 0.169 0.831 0.977

Summary:
**Space group**: No. 63
**ΔH_f (0 K)**: -361 meV/atom
**Calculated volume**: 264.3 Å³/cell

=====

No. 6
Computed, not measured: GaNi4Ge3 after structural relaxation at the PBE level of DFT.

a = 4.694 Å, b = 4.694 Å, c = 4.694 Å
α = 89.38°, β = 89.38°, γ = 89.38°
Atoms (fractional coordinates):
1 Ni 0.136 0.360 0.861
2 Ni 0.642 0.642 0.642
3 Ni 0.360 0.861 0.136
4 Ni 0.861 0.136 0.360
5 Ge 0.654 0.161 0.842
6 Ge 0.842 0.654 0.161
7 Ge 0.161 0.842 0.654
8 Ga 0.344 0.344 0.344

Summary:
**Space group**: No. 146
**Energy above the lowest structure with this stoichiometry**: 0.555 eV/f.u.
**ΔH_f (0 K)**: -239 meV/atom
**Calculated volume**: 103.4 Å³/cell